KMg30TiO32 | GGA-PBE | optimized geometry

Lattice parameters (Å, degrees): 8.6070 8.6070 8.5792 90.00 90.00 90.00
Fractional coordinates of all 64 atoms:
K 0.0000 0.0000 0.0000
Mg 0.0000 0.2561 0.2482
Mg 0.0000 0.2561 0.7518
Mg 0.0000 0.5000 0.0000
Mg 0.0000 0.5000 0.5000
Mg 0.0000 0.7439 0.2482
Mg 0.0000 0.7439 0.7518
Mg 0.2503 0.5000 0.2491
Mg 0.2503 0.5000 0.7509
Mg 0.2511 0.2511 0.5000
Mg 0.2511 0.7489 0.5000
Mg 0.2516 0.2516 0.0000
Mg 0.2516 0.7484 0.0000
Mg 0.2561 0.0000 0.2482
Mg 0.2561 0.0000 0.7518
Mg 0.5000 0.0000 0.0000
Mg 0.5000 0.0000 0.5000
Mg 0.5000 0.2503 0.2491
Mg 0.5000 0.2503 0.7509
Mg 0.5000 0.5000 0.0000
Mg 0.5000 0.5000 0.5000
Mg 0.5000 0.7497 0.2491
Mg 0.5000 0.7497 0.7509
Mg 0.7439 0.0000 0.2482
Mg 0.7439 0.0000 0.7518
Mg 0.7484 0.2516 0.0000
Mg 0.7484 0.7484 0.0000
Mg 0.7489 0.2511 0.5000
Mg 0.7489 0.7489 0.5000
Mg 0.7497 0.5000 0.2491
Mg 0.7497 0.5000 0.7509
Ti 0.0000 0.0000 0.5000
O 0.0000 0.0000 0.2762
O 0.0000 0.0000 0.7238
O 0.0000 0.2516 0.5000
O 0.0000 0.2734 0.0000
O 0.0000 0.5000 0.2555
O 0.0000 0.5000 0.7445
O 0.0000 0.7266 0.0000
O 0.0000 0.7484 0.5000
O 0.2487 0.2487 0.2502
O 0.2487 0.2487 0.7498
O 0.2487 0.7513 0.2502
O 0.2487 0.7513 0.7498
O 0.2503 0.5000 0.5000
O 0.2516 0.0000 0.5000
O 0.2540 0.5000 0.0000
O 0.2734 0.0000 0.0000
O 0.5000 0.0000 0.2555
O 0.5000 0.0000 0.7445
O 0.5000 0.2503 0.5000
O 0.5000 0.2540 0.0000
O 0.5000 0.5000 0.2516
O 0.5000 0.5000 0.7484
O 0.5000 0.7460 0.0000
O 0.5000 0.7497 0.5000
O 0.7266 0.0000 0.0000
O 0.7460 0.5000 0.0000
O 0.7484 0.0000 0.5000
O 0.7497 0.5000 0.5000
O 0.7513 0.2487 0.2502
O 0.7513 0.2487 0.7498
O 0.7513 0.7513 0.2502
O 0.7513 0.7513 0.7498

Volume = 635.6 Å³ per cell
Relative energy among the computed polymorphs = 0.000 eV/atom
Energy relative to the elements = -2979.9 meV/atom
VASP energy = -384.08 eV/cell


KMg14TiO16 | GGA-PBE | optimized geometry

Lattice parameters (Å, degrees): 4.4009 8.6080 8.6554 90.00 90.00 90.00
Fractional coordinates of all 32 atoms:
K 0.0000 0.0000 0.0000
Mg 0.0000 0.0000 0.5000
Mg 0.0000 0.2469 0.2568
Mg 0.0000 0.2469 0.7432
Mg 0.0000 0.5000 0.5000
Mg 0.0000 0.7531 0.2568
Mg 0.0000 0.7531 0.7432
Mg 0.5000 0.0000 0.2521
Mg 0.5000 0.0000 0.7479
Mg 0.5000 0.2448 0.0000
Mg 0.5000 0.2484 0.5000
Mg 0.5000 0.5000 0.2523
Mg 0.5000 0.5000 0.7477
Mg 0.5000 0.7516 0.5000
Mg 0.5000 0.7552 0.0000
Ti 0.0000 0.5000 0.0000
O 0.0000 0.0000 0.2749
O 0.0000 0.0000 0.7251
O 0.0000 0.2572 0.5000
O 0.0000 0.2776 0.0000
O 0.0000 0.5000 0.2511
O 0.0000 0.5000 0.7489
O 0.0000 0.7224 0.0000
O 0.0000 0.7428 0.5000
O 0.5000 0.0000 0.0000
O 0.5000 0.0000 0.5000
O 0.5000 0.2507 0.2484
O 0.5000 0.2507 0.7516
O 0.5000 0.5000 0.0000
O 0.5000 0.5000 0.5000
O 0.5000 0.7493 0.2484
O 0.5000 0.7493 0.7516

Volume = 327.9 Å³ per cell
Relative energy among the computed polymorphs = 0.000 eV/atom
Energy relative to the elements = -2881.9 meV/atom
VASP energy = -191.81 eV/cell


KYMg6O8 | GGA-PBE | optimized geometry

Lattice parameters (Å, degrees): 4.5444 4.5444 8.9236 90.00 90.00 90.00
Fractional coordinates of all 16 atoms:
K 0.0000 0.0000 0.0000
Y 0.5000 0.5000 0.0000
Mg 0.0000 0.0000 0.5000
Mg 0.0000 0.5000 0.2674
Mg 0.0000 0.5000 0.7326
Mg 0.5000 0.0000 0.2674
Mg 0.5000 0.0000 0.7326
Mg 0.5000 0.5000 0.5000
O 0.0000 0.0000 0.2785
O 0.0000 0.0000 0.7215
O 0.0000 0.5000 0.0000
O 0.0000 0.5000 0.5000
O 0.5000 0.0000 0.0000
O 0.5000 0.0000 0.5000
O 0.5000 0.5000 0.2612
O 0.5000 0.5000 0.7388

Volume = 184.3 Å³ per cell
Relative energy among the computed polymorphs = 0.000 eV/atom
Energy relative to the elements = -2793.1 meV/atom
VASP energy = -95.96 eV/cell


KYMg6O8 | GGA-PBE | optimized geometry

Lattice parameters (Å, degrees): 4.5354 4.5354 9.1096 90.00 90.00 90.00
Fractional coordinates of all 16 atoms:
K 0.0000 0.0000 0.0000
Y 0.0000 0.0000 0.5000
Mg 0.0000 0.5000 0.2298
Mg 0.0000 0.5000 0.7702
Mg 0.5000 0.0000 0.2298
Mg 0.5000 0.0000 0.7702
Mg 0.5000 0.5000 0.0000
Mg 0.5000 0.5000 0.5000
O 0.0000 0.0000 0.2622
O 0.0000 0.0000 0.7378
O 0.0000 0.5000 0.0000
O 0.0000 0.5000 0.5000
O 0.5000 0.0000 0.0000
O 0.5000 0.0000 0.5000
O 0.5000 0.5000 0.2520
O 0.5000 0.5000 0.7480

Volume = 187.4 Å³ per cell
Relative energy among the computed polymorphs = 0.069 eV/atom
Energy relative to the elements = -2723.7 meV/atom
VASP energy = -94.85 eV/cell


K2MgTi2P2S10 | GGA-PBE | optimized geometry

Lattice parameters (Å, degrees): 6.5213 7.2177 9.8472 111.28 96.72 90.44
Fractional coordinates of all 17 atoms:
K 0.0000 0.0000 0.0000
K 0.4459 0.4447 0.8916
Mg 0.7285 0.7226 0.4466
Ti 0.2295 0.0160 0.4486
Ti 0.2310 0.4292 0.4433
P 0.0130 0.5941 0.1881
P 0.4424 0.8513 0.7044
S 0.0831 0.2941 0.5934
S 0.1335 0.8066 0.6141
S 0.3239 0.6355 0.2731
S 0.3766 0.1507 0.2980
S 0.4811 0.9614 0.9232
S 0.5720 0.0314 0.6067
S 0.5728 0.5767 0.6115
S 0.8862 0.8701 0.2831
S 0.8870 0.4144 0.2876
S 0.9656 0.4839 0.9694

Volume = 428.3 Å³ per cell
Energy relative to the elements = -1216.3 meV/atom
VASP energy = -87.45 eV/cell


KRbMg14 | GGA-PBE | optimized geometry

Lattice parameters (Å, degrees): 6.8992 6.8992 10.5404 90.00 90.00 120.00
Fractional coordinates of all 16 atoms:
K 0.0000 0.0000 0.0000
Rb 0.0000 0.0000 0.5000
Mg 0.0055 0.5028 0.0000
Mg 0.0069 0.5034 0.5000
Mg 0.1802 0.3605 0.2472
Mg 0.1802 0.3605 0.7528
Mg 0.1802 0.8198 0.2472
Mg 0.1802 0.8198 0.7528
Mg 0.4972 0.5028 0.0000
Mg 0.4966 0.5034 0.5000
Mg 0.4966 0.9931 0.5000
Mg 0.4972 0.9945 0.0000
Mg 0.6395 0.8198 0.2472
Mg 0.6395 0.8198 0.7528
Mg 0.6667 0.3333 0.2505
Mg 0.6667 0.3333 0.7495

Volume = 434.5 Å³ per cell
Relative energy among the computed polymorphs = 0.028 eV/atom
Energy relative to the elements = 207.2 meV/atom
VASP energy = -21.18 eV/cell


KRbMg14 | GGA-PBE | optimized geometry

Lattice parameters (Å, degrees): 11.1065 6.7754 6.7754 57.30 90.00 90.00
Fractional coordinates of all 16 atoms:
K 0.0000 0.0000 0.0000
Rb 0.0000 0.5009 0.5009
Mg 0.0000 0.0001 0.5004
Mg 0.0000 0.5004 0.0001
Mg 0.2593 0.1737 0.1737
Mg 0.2633 0.6751 0.6751
Mg 0.2805 0.1619 0.6635
Mg 0.2805 0.6635 0.1619
Mg 0.5000 0.0004 0.4995
Mg 0.5000 0.0062 0.0062
Mg 0.5000 0.4995 0.0004
Mg 0.5000 0.5058 0.5058
Mg 0.7195 0.1619 0.6635
Mg 0.7195 0.6635 0.1619
Mg 0.7367 0.6751 0.6751
Mg 0.7407 0.1737 0.1737

Volume = 429.0 Å³ per cell
Relative energy among the computed polymorphs = 0.000 eV/atom
Energy relative to the elements = 179.5 meV/atom
VASP energy = -21.62 eV/cell


K3MgSbS4 | GGA-PBE | optimized geometry

Lattice parameters (Å, degrees): 8.1137 7.0815 7.7273 66.28 53.04 60.68
Fractional coordinates of all 9 atoms:
K 0.0000 0.0000 0.0000
K 0.2087 0.2087 0.2913
K 0.7087 0.7087 0.7913
Mg 0.3601 0.3601 0.6399
Sb 0.6696 0.6696 0.3304
S 0.0151 0.4337 0.9849
S 0.3661 0.6722 0.3278
S 0.4337 0.0151 0.5663
S 0.6722 0.3661 0.6339

Volume = 305.6 Å³ per cell
Relative energy among the computed polymorphs = 0.021 eV/atom
Energy relative to the elements = -1163.1 meV/atom
VASP energy = -34.06 eV/cell


K3MgSbS4 | GGA-PBE | optimized geometry

Lattice parameters (Å, degrees): 7.4219 7.4219 7.4219 121.09 121.09 88.12
Fractional coordinates of all 9 atoms:
K 0.0000 0.0000 0.0000
K 0.0913 0.5913 0.5000
K 0.4087 0.9087 0.5000
Mg 0.7500 0.2500 0.5000
Sb 0.5000 0.5000 0.0000
S 0.1076 0.2007 0.5617
S 0.4542 0.8924 0.0931
S 0.6389 0.5458 0.4383
S 0.7993 0.3611 0.9069

Volume = 284.2 Å³ per cell
Relative energy among the computed polymorphs = 0.074 eV/atom
Energy relative to the elements = -1109.3 meV/atom
VASP energy = -33.58 eV/cell


K3MgSbS4 | GGA-PBE | optimized geometry

Lattice parameters (Å, degrees): 6.6021 6.6021 6.6021 95.97 95.97 95.97
Fractional coordinates of all 9 atoms:
K 0.1869 0.1869 0.6263
K 0.1869 0.6263 0.1869
K 0.6263 0.1869 0.1869
Mg 0.9229 0.9229 0.9229
Sb 0.6417 0.6417 0.6417
S 0.0175 0.6555 0.6555
S 0.1489 0.1489 0.1489
S 0.6555 0.0175 0.6555
S 0.6555 0.6555 0.0175

Volume = 282.8 Å³ per cell
Relative energy among the computed polymorphs = 0.000 eV/atom
Energy relative to the elements = -1183.6 meV/atom
VASP energy = -34.25 eV/cell


KMg14Sb | GGA-PBE | optimized geometry

Lattice parameters (Å, degrees): 10.5917 6.5530 6.5530 59.29 90.00 90.00
Fractional coordinates of all 16 atoms:
K 0.0000 0.0000 0.0000
Mg 0.0000 0.0054 0.4953
Mg 0.0000 0.4953 0.0054
Mg 0.2481 0.6682 0.6682
Mg 0.2612 0.1691 0.6602
Mg 0.2612 0.6602 0.1691
Mg 0.2616 0.1711 0.1711
Mg 0.5000 0.0005 0.0005
Mg 0.5000 0.5012 0.5012
Mg 0.5000 0.5016 0.9981
Mg 0.5000 0.9981 0.5016
Mg 0.7384 0.1711 0.1711
Mg 0.7388 0.1691 0.6602
Mg 0.7388 0.6602 0.1691
Mg 0.7519 0.6682 0.6682
Sb 0.0000 0.4941 0.4941

Volume = 391.0 Å³ per cell
Relative energy among the computed polymorphs = 0.000 eV/atom
Energy relative to the elements = 21.0 meV/atom
VASP energy = -27.12 eV/cell


KMg14Sb | GGA-PBE | optimized geometry

Lattice parameters (Å, degrees): 6.5208 6.5208 10.7107 90.00 90.00 120.00
Fractional coordinates of all 16 atoms:
K 0.0000 0.0000 0.0000
Mg 0.0064 0.5032 0.0000
Mg 0.1704 0.3408 0.2571
Mg 0.1704 0.3408 0.7429
Mg 0.1704 0.8296 0.2571
Mg 0.1704 0.8296 0.7429
Mg 0.4968 0.5032 0.0000
Mg 0.4968 0.9936 0.0000
Mg 0.5023 0.0045 0.5000
Mg 0.5023 0.4977 0.5000
Mg 0.6592 0.8296 0.2571
Mg 0.6592 0.8296 0.7429
Mg 0.6667 0.3333 0.2455
Mg 0.6667 0.3333 0.7545
Mg 0.9955 0.4977 0.5000
Sb 0.0000 0.0000 0.5000

Volume = 394.4 Å³ per cell
Relative energy among the computed polymorphs = 0.042 eV/atom
Energy relative to the elements = 63.3 meV/atom
VASP energy = -26.44 eV/cell


KMg14Si | GGA-PBE | optimized geometry

Lattice parameters (Å, degrees): 6.4014 6.4014 10.7430 90.00 90.00 120.00
Fractional coordinates of all 16 atoms:
K 0.0000 0.0000 0.0000
Mg 0.0079 0.5039 0.0000
Mg 0.1670 0.3339 0.2655
Mg 0.1670 0.3339 0.7345
Mg 0.1670 0.8330 0.2655
Mg 0.1670 0.8330 0.7345
Mg 0.4961 0.5039 0.0000
Mg 0.4961 0.9921 0.0000
Mg 0.5023 0.0047 0.5000
Mg 0.5023 0.4977 0.5000
Mg 0.6661 0.8330 0.2655
Mg 0.6661 0.8330 0.7345
Mg 0.6667 0.3333 0.2426
Mg 0.6667 0.3333 0.7574
Mg 0.9953 0.4977 0.5000
Si 0.0000 0.0000 0.5000

Volume = 381.2 Å³ per cell
Relative energy among the computed polymorphs = 0.010 eV/atom
Energy relative to the elements = 133.5 meV/atom
VASP energy = -26.87 eV/cell


KMg14Si | GGA-PBE | optimized geometry

Lattice parameters (Å, degrees): 10.2358 6.8297 6.8297 53.83 90.00 90.00
Fractional coordinates of all 16 atoms:
K 0.0000 0.0000 0.0000
Mg 0.0000 0.0059 0.4924
Mg 0.0000 0.4924 0.0059
Mg 0.2258 0.6342 0.6342
Mg 0.2533 0.1515 0.6332
Mg 0.2533 0.6332 0.1515
Mg 0.2654 0.1539 0.1539
Mg 0.5000 0.4874 0.4874
Mg 0.5000 0.4903 0.9805
Mg 0.5000 0.9805 0.4903
Mg 0.5000 0.9810 0.9810
Mg 0.7346 0.1539 0.1539
Mg 0.7467 0.1515 0.6332
Mg 0.7467 0.6332 0.1515
Mg 0.7742 0.6342 0.6342
Si 0.0000 0.4444 0.4444

Volume = 385.4 Å³ per cell
Relative energy among the computed polymorphs = 0.000 eV/atom
Energy relative to the elements = 123.1 meV/atom
VASP energy = -27.04 eV/cell


KMg14Sn | GGA-PBE | optimized geometry

Lattice parameters (Å, degrees): 10.6379 6.5153 6.5153 60.69 90.00 90.00
Fractional coordinates of all 16 atoms:
K 0.0000 0.0000 0.0000
Mg 0.0000 0.0076 0.4941
Mg 0.0000 0.4941 0.0076
Mg 0.2462 0.6686 0.6686
Mg 0.2621 0.1740 0.6609
Mg 0.2621 0.6609 0.1740
Mg 0.2646 0.1728 0.1728
Mg 0.5000 0.0003 0.0003
Mg 0.5000 0.5024 0.5024
Mg 0.5000 0.5037 0.9966
Mg 0.5000 0.9966 0.5037
Mg 0.7354 0.1728 0.1728
Mg 0.7379 0.1740 0.6609
Mg 0.7379 0.6609 0.1740
Mg 0.7538 0.6686 0.6686
Sn 0.0000 0.4948 0.4948

Volume = 393.8 Å³ per cell
Relative energy among the computed polymorphs = 0.000 eV/atom
Energy relative to the elements = 49.0 meV/atom
VASP energy = -26.74 eV/cell


K2Mg5Sn3 | GGA-PBE | optimized geometry

Lattice parameters (Å, degrees): 12.3501 12.3501 12.3501 156.65 156.65 33.26
Fractional coordinates of all 10 atoms:
K 0.1990 0.1990 0.0000
K 0.8010 0.8010 0.0000
Mg 0.0786 0.5786 0.5000
Mg 0.4214 0.9214 0.5000
Mg 0.5000 0.5000 0.0000
Mg 0.5786 0.0786 0.5000
Mg 0.9214 0.4214 0.5000
Sn 0.0000 0.0000 0.0000
Sn 0.3584 0.3584 0.0000
Sn 0.6416 0.6416 0.0000

Volume = 295.7 Å³ per cell
Energy relative to the elements = -202.6 meV/atom
VASP energy = -24.28 eV/cell